Run one
The following is a DFT calculation (GGA+U) of crystalline Li3Cr3P4O16 at its relaxed geometry.

```
data_Li3Cr3P4O16
_cell_length_a 19.156
_cell_length_b 6.352
_cell_length_c 10.441
_cell_angle_alpha 90.00
_cell_angle_beta 90.22
_cell_angle_gamma 90.00
_space_group_name_H-M_alt 'C 1 2/c 1'
_space_group_IT_number 15
loop_
_space_group_symop_operation_xyz
'x,y,z'
'-x,-y,-z'
'-x,y,-z+1/2'
'x,-y,z+1/2'
'x+1/2,y+1/2,z'
'-x+1/2,-y+1/2,-z'
'-x+1/2,y+1/2,-z+1/2'
'x+1/2,-y+1/2,z+1/2'
loop_
_atom_site_label
_atom_site_type_symbol
_atom_site_fract_x
_atom_site_fract_y
_atom_site_fract_z
Li1 Li 0.000 0.034 0.250
Li2 Li 0.066 0.386 0.952
Cr1 Cr 0.156 0.022 0.754
Cr2 Cr 0.250 0.250 0.500
P1 P 0.083 0.164 0.498
P2 P 0.200 0.480 0.247
O1 O 0.021 0.308 0.470
O2 O 0.078 0.053 0.631
O3 O 0.086 0.013 0.892
O4 O 0.150 0.300 0.495
O5 O 0.153 0.334 0.783
O6 O 0.156 0.286 0.218
O7 O 0.242 0.052 0.644
O8 O 0.245 0.023 0.365
```

Results
**Spin magnetization**: 0.346 μB per atom

Run two
The following is a DFT calculation (GGA+U) of crystalline Li3Cr3P4O16 at its relaxed geometry.

```
data_Li3Cr3P4O16
_cell_length_a 7.967
_cell_length_b 8.822
_cell_length_c 13.017
_cell_angle_alpha 85.80
_cell_angle_beta 89.76
_cell_angle_gamma 89.93
_space_group_name_H-M_alt 'P 1'
_space_group_IT_number 1
loop_
_space_group_symop_operation_xyz
'x,y,z'
loop_
_atom_site_label
_atom_site_type_symbol
_atom_site_fract_x
_atom_site_fract_y
_atom_site_fract_z
Li1 Li 0.000 0.000 0.000
Li2 Li 0.000 0.319 0.668
Li3 Li 0.005 0.663 0.327
Li4 Li 0.272 0.186 0.008
Li5 Li 0.274 0.854 0.331
Li6 Li 0.502 0.363 0.334
Li7 Li 0.506 0.022 0.669
Li8 Li 0.772 0.832 0.669
Li9 Li 0.775 0.486 0.998
Cr1 Cr 0.125 0.588 0.000
Cr2 Cr 0.132 0.933 0.670
Cr3 Cr 0.150 0.264 0.334
Cr4 Cr 0.283 0.532 0.665
Cr5 Cr 0.493 0.697 0.997
Cr6 Cr 0.636 0.752 0.329
Cr7 Cr 0.644 0.098 0.002
Cr8 Cr 0.651 0.420 0.665
Cr9 Cr 0.784 0.154 0.335
P1 P 0.323 0.909 0.885
P2 P 0.334 0.571 0.220
P3 P 0.340 0.236 0.555
P4 P 0.433 0.399 0.889
P5 P 0.447 0.067 0.221
P6 P 0.453 0.740 0.549
P7 P 0.828 0.112 0.782
P8 P 0.830 0.784 0.112
P9 P 0.841 0.450 0.445
P10 P 0.942 0.281 0.113
P11 P 0.944 0.617 0.780
P12 P 0.954 0.942 0.449
O1 O 0.006 0.763 0.063
O2 O 0.010 0.099 0.735
O3 O 0.020 0.435 0.400
O4 O 0.066 0.170 0.075
O5 O 0.071 0.508 0.732
O6 O 0.071 0.835 0.404
O7 O 0.207 0.015 0.933
O8 O 0.211 0.681 0.258
O9 O 0.220 0.348 0.607
O10 O 0.255 0.417 0.933
O11 O 0.269 0.744 0.604
O12 O 0.271 0.088 0.270
O13 O 0.276 0.072 0.581
O14 O 0.283 0.733 0.916
O15 O 0.287 0.401 0.244
O16 O 0.331 0.930 0.767
O17 O 0.335 0.273 0.437
O18 O 0.339 0.594 0.096
O19 O 0.439 0.434 0.768
O20 O 0.443 0.759 0.432
O21 O 0.449 0.103 0.103
O22 O 0.493 0.566 0.584
O23 O 0.497 0.237 0.913
O24 O 0.498 0.899 0.245
O25 O 0.507 0.910 0.938
O26 O 0.515 0.585 0.264
O27 O 0.519 0.250 0.600
O28 O 0.555 0.514 0.935
O29 O 0.571 0.848 0.595
O30 O 0.573 0.175 0.270
O31 O 0.705 0.675 0.063
O32 O 0.706 0.004 0.739
O33 O 0.721 0.337 0.394
O34 O 0.761 0.267 0.069
O35 O 0.769 0.596 0.731
O36 O 0.771 0.939 0.395
O37 O 0.777 0.614 0.419
O38 O 0.778 0.952 0.088
O39 O 0.784 0.284 0.754
O40 O 0.829 0.747 0.230
O41 O 0.833 0.090 0.902
O42 O 0.837 0.413 0.563
O43 O 0.939 0.256 0.237
O44 O 0.941 0.580 0.898
O45 O 0.942 0.923 0.567
O46 O 0.990 0.451 0.090
O47 O 0.994 0.118 0.417
O48 O 0.997 0.784 0.756
```

Results
**Spin magnetization**: 0.346 μB per atom

Run three
The following is a DFT calculation (GGA+U) of crystalline Li3Cr3P4O16 at its relaxed geometry.

```
data_Li3Cr3P4O16
_cell_length_a 6.226
_cell_length_b 11.302
_cell_length_c 8.471
_cell_angle_alpha 90.00
_cell_angle_beta 101.65
_cell_angle_gamma 90.00
_space_group_name_H-M_alt 'P 1 21 1'
_space_group_IT_number 4
loop_
_space_group_symop_operation_xyz
'x,y,z'
'-x,y+1/2,-z'
loop_
_atom_site_label
_atom_site_type_symbol
_atom_site_fract_x
_atom_site_fract_y
_atom_site_fract_z
Li1 Li 0.102 0.000 0.153
Li2 Li 0.147 0.308 0.429
Li3 Li 0.358 0.090 0.561
Cr1 Cr 0.078 0.612 0.219
Cr2 Cr 0.376 0.384 0.838
Cr3 Cr 0.400 0.789 0.774
P1 P 0.074 0.284 0.096
P2 P 0.135 0.572 0.585
P3 P 0.370 0.829 0.401
P4 P 0.459 0.107 0.899
O1 O 0.010 0.160 0.018
O2 O 0.079 0.136 0.418
O3 O 0.106 0.830 0.816
O4 O 0.113 0.374 0.966
O5 O 0.141 0.465 0.704
O6 O 0.150 0.516 0.420
O7 O 0.160 0.754 0.343
O8 O 0.236 0.110 0.781
O9 O 0.285 0.279 0.230
O10 O 0.345 0.646 0.650
O11 O 0.352 0.884 0.567
O12 O 0.375 0.929 0.275
O13 O 0.377 0.577 0.208
O14 O 0.410 0.266 0.599
O15 O 0.460 0.005 0.019
O16 O 0.491 0.732 0.016
```

Results
**Spin magnetization**: 0.346 μB per atom

Run four
The following is a DFT calculation (GGA+U) of crystalline Li3Cr3P4O16 at its relaxed geometry.

```
data_Li3Cr3P4O16
_cell_length_a 8.206
_cell_length_b 9.081
_cell_length_c 13.124
_cell_angle_alpha 86.26
_cell_angle_beta 89.94
_cell_angle_gamma 89.91
_space_group_name_H-M_alt 'P 1'
_space_group_IT_number 1
loop_
_space_group_symop_operation_xyz
'x,y,z'
loop_
_atom_site_label
_atom_site_type_symbol
_atom_site_fract_x
_atom_site_fract_y
_atom_site_fract_z
Li1 Li 0.000 0.000 0.000
Li2 Li 0.012 0.303 0.653
Li3 Li 0.027 0.662 0.324
Li4 Li 0.148 0.923 0.661
Li5 Li 0.356 0.761 0.331
Li6 Li 0.477 0.826 0.656
Li7 Li 0.493 0.133 0.318
Li8 Li 0.522 0.474 0.989
Li9 Li 0.857 0.378 0.984
Cr1 Cr 0.148 0.591 0.990
Cr2 Cr 0.152 0.258 0.321
Cr3 Cr 0.351 0.426 0.651
Cr4 Cr 0.356 0.093 0.992
Cr5 Cr 0.644 0.211 0.656
Cr6 Cr 0.645 0.548 0.322
Cr7 Cr 0.649 0.879 0.996
Cr8 Cr 0.856 0.713 0.658
Cr9 Cr 0.858 0.042 0.321
P1 P 0.192 0.630 0.542
P2 P 0.208 0.297 0.879
P3 P 0.208 0.954 0.211
P4 P 0.295 0.122 0.544
P5 P 0.301 0.793 0.878
P6 P 0.305 0.461 0.211
P7 P 0.701 0.509 0.768
P8 P 0.708 0.182 0.101
P9 P 0.708 0.839 0.433
P10 P 0.794 0.006 0.768
P11 P 0.796 0.343 0.433
P12 P 0.806 0.674 0.102
O1 O 0.073 0.731 0.595
O2 O 0.083 0.068 0.264
O3 O 0.090 0.405 0.928
O4 O 0.130 0.797 0.934
O5 O 0.131 0.136 0.597
O6 O 0.137 0.801 0.225
O7 O 0.138 0.466 0.271
O8 O 0.150 0.462 0.569
O9 O 0.156 0.134 0.903
O10 O 0.207 0.671 0.430
O11 O 0.209 0.009 0.096
O12 O 0.221 0.336 0.764
O13 O 0.287 0.502 0.097
O14 O 0.294 0.176 0.429
O15 O 0.299 0.841 0.767
O16 O 0.348 0.294 0.234
O17 O 0.351 0.629 0.905
O18 O 0.364 0.631 0.600
O19 O 0.367 0.969 0.561
O20 O 0.372 0.967 0.263
O21 O 0.379 0.297 0.935
O22 O 0.420 0.897 0.937
O23 O 0.421 0.237 0.596
O24 O 0.431 0.565 0.256
O25 O 0.581 0.068 0.051
O26 O 0.581 0.405 0.710
O27 O 0.588 0.733 0.385
O28 O 0.623 0.008 0.713
O29 O 0.627 0.339 0.377
O30 O 0.637 0.670 0.044
O31 O 0.638 0.335 0.087
O32 O 0.651 0.673 0.741
O33 O 0.659 0.004 0.409
O34 O 0.706 0.462 0.880
O35 O 0.712 0.127 0.217
O36 O 0.721 0.799 0.548
O37 O 0.781 0.966 0.883
O38 O 0.786 0.296 0.547
O39 O 0.788 0.632 0.216
O40 O 0.845 0.170 0.743
O41 O 0.847 0.506 0.411
O42 O 0.848 0.841 0.079
O43 O 0.871 0.167 0.048
O44 O 0.871 0.505 0.711
O45 O 0.877 0.837 0.375
O46 O 0.913 0.900 0.718
O47 O 0.919 0.238 0.381
O48 O 0.931 0.571 0.056
```

Results
**Spin magnetization**: 0.346 μB per atom

Which structure wins on stability? run one wins.